No. 1
Density functional theory data (PBE) for a relaxed Ce4Lu11S22 crystal.

- Total energy: -6.470 eV/atom

Structure (CIF):
```
data_Ce4Lu11S22
_chemical_formula_sum 'Ce8 Lu22 S44'
_space_group_name_H-M_alt 'C 1 2/m 1'
_space_group_IT_number 12
_space_group_name_Hall '-C 2y'
_cell_length_a 38.617
_cell_length_b 3.880
_cell_length_c 11.214
_cell_angle_alpha 90.00
_cell_angle_beta 91.33
_cell_angle_gamma 90.00
loop_
_atom_site_label
_atom_site_type_symbol
_atom_site_fract_x
_atom_site_fract_y
_atom_site_fract_z
Ce1 Ce 0.104 0.000 0.012
Ce2 Ce 0.133 0.500 0.651
Lu1 Lu 0.000 0.000 0.000
Lu2 Lu 0.038 0.500 0.730
Lu3 Lu 0.070 0.000 0.362
Lu4 Lu 0.157 0.500 0.300
Lu5 Lu 0.202 0.000 0.941
Lu6 Lu 0.237 0.500 0.648
S1 S 0.008 0.000 0.241
S2 S 0.047 0.500 0.968
S3 S 0.055 0.500 0.507
S4 S 0.087 0.000 0.752
S5 S 0.093 0.500 0.213
S6 S 0.135 0.000 0.451
S7 S 0.150 0.500 0.909
S8 S 0.169 0.000 0.152
S9 S 0.190 0.000 0.691
S10 S 0.220 0.500 0.411
S11 S 0.245 0.500 0.880
```

No. 2
Density functional theory data (PBE) for a relaxed CeLuS3 crystal.

- Energy relative to the lowest polymorph listed for this composition: 0 meV per atom

Structure (CIF):
```
data_CeLuS3
_chemical_formula_sum 'Ce4 Lu4 S12'
_space_group_name_H-M_alt 'C m c m'
_space_group_IT_number 63
_space_group_name_Hall '-C 2c 2'
_cell_length_a 3.863
_cell_length_b 12.585
_cell_length_c 9.486
_cell_angle_alpha 90.00
_cell_angle_beta 90.00
_cell_angle_gamma 90.00
loop_
_atom_site_label
_atom_site_type_symbol
_atom_site_fract_x
_atom_site_fract_y
_atom_site_fract_z
Ce1 Ce 0.000 0.248 0.250
Lu1 Lu 0.000 0.500 0.000
S1 S 0.000 0.142 0.564
S2 S 0.000 0.412 0.750
```

No. 3
Density functional theory data (PBE) for a relaxed Ce3LuSe6 crystal.

- Total energy: -6.163 eV/atom

Structure (CIF):
```
data_Ce3LuSe6
_chemical_formula_sum 'Ce12 Lu4 Se24'
_space_group_name_H-M_alt 'P n n m'
_space_group_IT_number 58
_space_group_name_Hall '-P 2 2n'
_cell_length_a 14.522
_cell_length_b 17.572
_cell_length_c 4.101
_cell_angle_alpha 90.00
_cell_angle_beta 90.00
_cell_angle_gamma 90.00
loop_
_atom_site_label
_atom_site_type_symbol
_atom_site_fract_x
_atom_site_fract_y
_atom_site_fract_z
Ce1 Ce 0.048 0.219 0.000
Ce2 Ce 0.181 0.651 0.000
Ce3 Ce 0.249 0.900 0.500
Lu1 Lu 0.000 0.000 0.500
Lu2 Lu 0.000 0.500 0.500
Se1 Se 0.023 0.394 0.000
Se2 Se 0.092 0.921 0.000
Se3 Se 0.105 0.754 0.500
Se4 Se 0.125 0.112 0.500
Se5 Se 0.186 0.290 0.500
Se6 Se 0.189 0.524 0.500
```